Here is an optimized crystal structure of Ba6Nb14Si4O47 from the Materials Project database. Energies are from PBE.

Output
Calculated total energy, eV per atom: -8.48
ΔE_f, eV per atom: -3.198

Structure (CIF):
```
data_Ba6Nb14Si4O47
_chemical_formula_sum 'Ba12 Nb28 Si8 O94'
_space_group_name_H-M_alt 'P 63 c m'
_space_group_IT_number 185
_space_group_name_Hall 'P 6c -2'
_cell_length_a 9.1816
_cell_length_b 9.1816
_cell_length_c 28.2806
_cell_angle_alpha 90.00
_cell_angle_beta 90.00
_cell_angle_gamma 120.00
loop_
_atom_site_label
_atom_site_fract_x
_atom_site_fract_y
_atom_site_fract_z
Ba1 0.0000 0.3999 0.0000
Ba2 0.0000 0.4167 0.7172
Nb1 0.0000 0.2165 0.1519
Nb2 0.0000 0.2367 0.2922
Nb3 0.0000 0.2381 0.4249
Nb4 0.0000 0.2548 0.5644
Nb5 0.3333 0.6667 0.1147
Si1 0.3333 0.6667 0.3015
Si2 0.3333 0.6667 0.4171
O1 0.0000 0.1763 0.7947
O2 0.0000 0.1770 0.9232
O3 0.0000 0.1883 0.0778
O4 0.0000 0.2169 0.2187
O5 0.0000 0.2178 0.4990
O6 0.0000 0.2319 0.6426
O7 0.0000 0.2818 0.3590
O8 0.1667 0.4781 0.1507
O9 0.1753 0.4853 0.5641
O10 0.1827 0.4892 0.4394
O11 0.1840 0.4890 0.2789
O12 0.3333 0.6667 0.3593
```